# Na2FePCO7

Na2FePCO7 after structural relaxation (PBE with a Hubbard U, the Materials Project database).

a b c (Å): 8.4047 8.4057 8.9489
angles (deg): 89.71 88.64 77.87
Fractional coordinates of all 48 atoms:
Na  0.0000  0.0000  0.0000
Na  0.0019  0.5101  0.4755
Na  0.1354  0.6232  0.8163
Na  0.1483  0.1264  0.6512
Na  0.5019  0.4997  0.9974
Na  0.6026  0.6690  0.6422
Na  0.6160  0.1059  0.8150
Na  0.7504  0.2573  0.4765
Fe  0.3655  0.3961  0.3880
Fe  0.4036  0.8706  0.0856
Fe  0.8658  0.8966  0.3883
Fe  0.9030  0.3725  0.0741
P  0.1165  0.6497  0.1590
P  0.1439  0.1173  0.3071
P  0.6173  0.1504  0.1586
P  0.6520  0.6091  0.3105
C  0.3692  0.8864  0.8064
C  0.3901  0.3707  0.6685
C  0.8660  0.3909  0.7940
C  0.8958  0.8749  0.6688
O  0.0178  0.0571  0.4119
O  0.0440  0.5343  0.0581
O  0.0596  0.1956  0.1644
O  0.1913  0.5630  0.3012
O  0.2055  0.2443  0.4040
O  0.2457  0.7083  0.0586
O  0.2685  0.4721  0.6071
O  0.2722  0.9847  0.8997
O  0.2833  0.9759  0.2583
O  0.3587  0.8963  0.6661
O  0.4135  0.3665  0.8081
O  0.4804  0.2982  0.2065
O  0.4833  0.7777  0.8718
O  0.4857  0.2735  0.5741
O  0.5343  0.5381  0.4156
O  0.5494  0.0284  0.0634
O  0.5676  0.6873  0.1698
O  0.7002  0.0711  0.3007
O  0.7245  0.7282  0.4069
O  0.7398  0.2148  0.0529
O  0.7720  0.4860  0.8899
O  0.7839  0.9879  0.6074
O  0.7956  0.4643  0.2648
O  0.8483  0.4078  0.6528
O  0.9187  0.8670  0.8084
O  0.9813  0.2800  0.8521
O  0.9814  0.7990  0.2064
O  0.9818  0.7702  0.5744

# Na5Fe2P2C2O14

Na5Fe2P2C2O14 after structural relaxation (PBE with a Hubbard U, the Materials Project database).

a b c (Å): 5.2728 6.6225 8.9945
angles (deg): 88.05 89.16 89.70
Fractional coordinates of all 25 atoms:
Na  0.0000  0.0000  0.0000
Na  0.0001  0.4940  0.0054
Na  0.0201  0.2395  0.3510
Na  0.4946  0.4914  0.5304
Na  0.4954  0.7684  0.1889
Fe  0.0340  0.7728  0.6091
Fe  0.4757  0.2502  0.9117
P  0.5331  0.7508  0.8420
P  0.9567  0.2629  0.6813
C  0.5296  0.2578  0.2016
C  0.9820  0.7519  0.3283
O  0.0225  0.0716  0.5895
O  0.0421  0.4496  0.5809
O  0.0980  0.2557  0.8308
O  0.2051  0.7627  0.3890
O  0.3040  0.2404  0.1429
O  0.3731  0.7457  0.6994
O  0.4709  0.9354  0.9373
O  0.4830  0.5646  0.9475
O  0.5566  0.2941  0.3383
O  0.6686  0.2770  0.7098
O  0.7286  0.2370  0.1129
O  0.7882  0.7547  0.4198
O  0.8234  0.7530  0.7970
O  0.9565  0.7431  0.1864

# Na2FePCO7

Na2FePCO7 after structural relaxation (PBE with a Hubbard U, the Materials Project database).

a b c (Å): 5.2641 6.5768 9.0526
angles (deg): 90.00 91.32 90.00
Fractional coordinates of all 24 atoms:
Na  0.2374  0.0040  0.2737
Na  0.2374  0.4960  0.2737
Na  0.7626  0.5040  0.7263
Na  0.7626  0.9960  0.7263
Fe  0.2143  0.2500  0.8572
Fe  0.7857  0.7500  0.1428
P  0.2828  0.7500  0.9274
P  0.7172  0.2500  0.0726
C  0.2732  0.2500  0.5814
C  0.7268  0.7500  0.4186
O  0.0484  0.2500  0.6410
O  0.1525  0.7500  0.0804
O  0.2036  0.5591  0.8385
O  0.2036  0.9409  0.8385
O  0.3101  0.2500  0.4451
O  0.4212  0.2500  0.0455
O  0.4611  0.2500  0.6815
O  0.5389  0.7500  0.3185
O  0.5788  0.7500  0.9545
O  0.6899  0.7500  0.5549
O  0.7964  0.0591  0.1615
O  0.7964  0.4409  0.1615
O  0.8475  0.2500  0.9196
O  0.9516  0.7500  0.3590

# Na5Fe2P2C2O14

Na5Fe2P2C2O14 after structural relaxation (PBE with a Hubbard U, the Materials Project database).

a b c (Å): 5.2678 11.0876 11.2921
angles (deg): 73.55 89.37 89.44
Fractional coordinates of all 50 atoms:
Na  0.0000  0.0000  0.0000
Na  0.9996  0.2418  0.7603
Na  0.0006  0.4867  0.5026
Na  0.0011  0.7375  0.2618
Na  0.4985  0.2328  0.2411
Na  0.5020  0.5219  0.2825
Na  0.5062  0.0349  0.7684
Na  0.5058  0.7204  0.7462
Na  0.9792  0.6759  0.9673
Na  0.9805  0.1863  0.4590
Fe  0.5252  0.4099  0.6759
Fe  0.5296  0.9148  0.1741
Fe  0.9651  0.3222  0.0623
Fe  0.9679  0.8158  0.5686
P  0.0333  0.0260  0.2880
P  0.0443  0.5324  0.7793
P  0.4656  0.1914  0.9597
P  0.4680  0.6977  0.4551
C  0.0183  0.4545  0.2203
C  0.0203  0.9502  0.7165
C  0.4736  0.2679  0.5270
C  0.4739  0.7771  0.0293
O  0.0407  0.5281  0.2920
O  0.0454  0.0200  0.7892
O  0.1723  0.2061  0.9712
O  0.1764  0.7178  0.4763
O  0.2152  0.9050  0.6704
O  0.2176  0.4106  0.1781
O  0.2740  0.3044  0.5793
O  0.2825  0.8180  0.0851
O  0.3198  0.0105  0.2561
O  0.3340  0.5249  0.7542
O  0.4386  0.7232  0.9466
O  0.4508  0.2091  0.4460
O  0.5263  0.7502  0.3134
O  0.5287  0.5560  0.4885
O  0.5330  0.0454  0.0070
O  0.5464  0.2292  0.8214
O  0.6045  0.2631  0.0365
O  0.6228  0.7667  0.5312
O  0.6979  0.2947  0.5631
O  0.7013  0.7980  0.0665
O  0.7956  0.4267  0.1879
O  0.7971  0.9227  0.6821
O  0.8824  0.9494  0.2147
O  0.9039  0.4543  0.7070
O  0.9612  0.1655  0.2497
O  0.9641  0.6759  0.7322
O  0.9820  0.4910  0.9180
O  0.9867  0.9727  0.4288

# Na2FePCO7

Na2FePCO7 after structural relaxation (PBE with a Hubbard U, the Materials Project database).

a b c (Å): 8.3979 8.4649 8.9105
angles (deg): 93.24 91.49 77.96
Fractional coordinates of all 48 atoms:
Na  0.5271  0.7572  0.0836
Na  0.0271  0.2572  0.0836
Na  0.4729  0.2428  0.9164
Na  0.9729  0.7428  0.9164
Na  0.1303  0.8790  0.2641
Na  0.6303  0.3789  0.2641
Na  0.8697  0.1211  0.7359
Na  0.3697  0.6211  0.7359
Fe  0.2566  0.4774  0.3446
Fe  0.2434  0.0226  0.6554
Fe  0.7566  0.9774  0.3446
Fe  0.7434  0.5226  0.6554
P  0.4819  0.7596  0.4268
P  0.9819  0.2596  0.4268
P  0.5181  0.2404  0.5732
P  0.0181  0.7404  0.5732
C  0.7356  0.0222  0.0666
C  0.2356  0.5222  0.0666
C  0.2644  0.9778  0.9334
C  0.7644  0.4778  0.9334
O  0.2679  0.9447  0.0702
O  0.7679  0.4447  0.0702
O  0.7321  0.0553  0.9298
O  0.2321  0.5553  0.9298
O  0.8376  0.8979  0.1212
O  0.3376  0.3979  0.1212
O  0.1624  0.1021  0.8788
O  0.6624  0.6021  0.8788
O  0.6352  0.1075  0.1660
O  0.1352  0.6075  0.1660
O  0.3648  0.8925  0.8340
O  0.8648  0.3925  0.8340
O  0.4234  0.6325  0.3173
O  0.9234  0.1325  0.3173
O  0.5766  0.3675  0.6827
O  0.0766  0.8675  0.6827
O  0.6004  0.8316  0.3344
O  0.1004  0.3316  0.3344
O  0.3996  0.1684  0.6656
O  0.8996  0.6684  0.6656
O  0.4377  0.3195  0.4306
O  0.9377  0.8195  0.4306
O  0.5623  0.6805  0.5694
O  0.0623  0.1805  0.5694
O  0.3314  0.8932  0.4740
O  0.8314  0.3932  0.4740
O  0.6686  0.1068  0.5260
O  0.1686  0.6068  0.5260

# Na2FePCO7

Na2FePCO7 after structural relaxation (PBE with a Hubbard U, the Materials Project database).

a b c (Å): 6.5324 8.9534 10.4830
angles (deg): 90.45 90.20 90.71
Fractional coordinates of all 48 atoms:
Na  0.0000  0.0000  0.0000
Na  0.9997  0.9997  0.4980
Na  0.2480  0.8182  0.7426
Na  0.2661  0.8174  0.2429
Na  0.5035  0.4727  0.7517
Na  0.7263  0.6552  0.0066
Na  0.7290  0.6549  0.5055
Na  0.9746  0.4728  0.2509
Fe  0.2353  0.3912  0.5162
Fe  0.2420  0.3912  0.0163
Fe  0.7235  0.0819  0.2320
Fe  0.7265  0.0818  0.7321
P  0.2334  0.1613  0.2693
P  0.2351  0.1611  0.7693
P  0.7380  0.3118  0.4791
P  0.7402  0.3117  0.9789
C  0.2324  0.6722  0.9891
C  0.2372  0.6718  0.4894
C  0.7425  0.8015  0.7594
C  0.7500  0.8016  0.2592
O  0.0460  0.0582  0.2379
O  0.0470  0.0607  0.7356
O  0.2211  0.8120  0.4763
O  0.2209  0.8120  0.9747
O  0.2238  0.2062  0.4131
O  0.2238  0.2064  0.9130
O  0.2247  0.6089  0.1021
O  0.2313  0.3052  0.1891
O  0.2318  0.5784  0.3924
O  0.2454  0.3050  0.6890
O  0.2546  0.5790  0.8929
O  0.2610  0.6093  0.6016
O  0.4224  0.0635  0.2423
O  0.4237  0.0610  0.7447
O  0.5492  0.4099  0.0018
O  0.5496  0.4070  0.5145
O  0.7292  0.6615  0.7733
O  0.7373  0.2661  0.3353
O  0.7405  0.2664  0.8351
O  0.7425  0.1681  0.0597
O  0.7427  0.8951  0.3561
O  0.7441  0.8645  0.1461
O  0.7471  0.8644  0.6461
O  0.7477  0.8953  0.8563
O  0.7497  0.1686  0.5599
O  0.7560  0.6614  0.2730
O  0.9263  0.4141  0.0136
O  0.9266  0.4170  0.5010

# Na2FePCO7

Na2FePCO7 after structural relaxation (PBE with a Hubbard U, the Materials Project database).

a b c (Å): 8.3625 8.3909 10.3488
angles (deg): 108.78 107.54 102.61
Fractional coordinates of all 48 atoms:
Na  0.0000  0.0000  0.0000
Na  0.0022  0.0305  0.5312
Na  0.0436  0.3100  0.3445
Na  0.2719  0.7622  0.5316
Na  0.4689  0.2096  0.1904
Na  0.4981  0.4955  0.9988
Na  0.5404  0.8161  0.3440
Na  0.9571  0.6993  0.1761
Fe  0.0527  0.3275  0.9171
Fe  0.4499  0.2100  0.6062
Fe  0.5530  0.8273  0.9176
Fe  0.9288  0.6888  0.6095
P  0.1934  0.4516  0.6869
P  0.3051  0.0696  0.8369
P  0.6918  0.9529  0.6874
P  0.8073  0.5715  0.8408
C  0.2286  0.4863  0.1979
C  0.2633  0.0269  0.3261
C  0.7332  0.9815  0.1977
C  0.7750  0.5386  0.3278
O  0.0706  0.3326  0.7327
O  0.0863  0.3399  0.1356
O  0.0879  0.5355  0.5926
O  0.1537  0.9140  0.6921
O  0.1734  0.9514  0.1863
O  0.2159  0.9716  0.4189
O  0.2282  0.1803  0.9381
O  0.2556  0.3262  0.5812
O  0.2818  0.5340  0.1047
O  0.3056  0.5776  0.3383
O  0.3511  0.5980  0.8298
O  0.4117  0.1665  0.3887
O  0.4196  0.1941  0.7896
O  0.4214  0.9973  0.9350
O  0.5696  0.0204  0.5885
O  0.5726  0.8299  0.7329
O  0.5857  0.8405  0.1353
O  0.6603  0.4197  0.6959
O  0.6858  0.4627  0.1881
O  0.7276  0.4825  0.4195
O  0.7308  0.6822  0.9423
O  0.7708  0.8441  0.5861
O  0.7800  0.0360  0.1049
O  0.8215  0.0615  0.3382
O  0.8448  0.1041  0.8309
O  0.9243  0.4995  0.9385
O  0.9238  0.6802  0.3922
O  0.9266  0.7013  0.7997

# Na2FePCO7

Na2FePCO7 after structural relaxation (PBE with a Hubbard U, the Materials Project database).

a b c (Å): 5.2579 8.9861 19.6710
angles (deg): 90.00 90.00 90.31
Fractional coordinates of all 72 atoms:
Na  0.0000  0.0000  0.0000
Na  0.9999  0.0001  0.1675
Na  0.4941  0.5266  0.3287
Na  0.4954  0.5284  0.8414
Na  0.4960  0.5273  0.6597
Na  0.4979  0.1946  0.0840
Na  0.5089  0.1803  0.4132
Na  0.5259  0.1668  0.7507
Na  0.9815  0.3466  0.2463
Na  0.9833  0.3407  0.5800
Na  0.9826  0.3441  0.9216
Na  0.9965  0.9975  0.4955
Fe  0.5292  0.9134  0.9145
Fe  0.5291  0.9136  0.2540
Fe  0.5300  0.9142  0.5872
Fe  0.9545  0.6025  0.0843
Fe  0.9615  0.6089  0.4204
Fe  0.9635  0.6153  0.7510
P  0.0338  0.6851  0.5835
P  0.0339  0.6847  0.9182
P  0.0342  0.6855  0.2502
P  0.4536  0.8394  0.7505
P  0.4569  0.8357  0.0837
P  0.4570  0.8373  0.4176
C  0.0159  0.3206  0.0836
C  0.0162  0.3270  0.4156
C  0.0177  0.3315  0.7501
C  0.4748  0.1961  0.5821
C  0.4761  0.1966  0.9178
C  0.4767  0.1970  0.2494
O  0.0376  0.1769  0.0834
O  0.0448  0.1874  0.4220
O  0.0503  0.1933  0.7498
O  0.1660  0.7970  0.0835
O  0.1711  0.7877  0.7502
O  0.1706  0.7909  0.4216
O  0.2094  0.4193  0.4127
O  0.2093  0.4290  0.7503
O  0.2113  0.4080  0.0837
O  0.2820  0.1034  0.5794
O  0.2828  0.1043  0.9203
O  0.2829  0.1049  0.2470
O  0.3201  0.7305  0.5883
O  0.3197  0.7316  0.9121
O  0.3203  0.7334  0.2550
O  0.4459  0.3356  0.5879
O  0.4472  0.3360  0.9119
O  0.4482  0.3365  0.2554
O  0.5060  0.9393  0.3553
O  0.5133  0.9364  0.8131
O  0.5136  0.9361  0.6876
O  0.5146  0.9370  0.0208
O  0.5151  0.9376  0.1462
O  0.5226  0.9348  0.4804
O  0.6090  0.6920  0.7504
O  0.6171  0.6938  0.4140
O  0.6210  0.6949  0.0835
O  0.7007  0.1347  0.5796
O  0.7022  0.1352  0.2465
O  0.7017  0.1350  0.9209
O  0.7904  0.3884  0.4130
O  0.7898  0.3938  0.7503
O  0.7924  0.3830  0.0837
O  0.8732  0.8283  0.9198
O  0.8725  0.8290  0.2480
O  0.8747  0.8288  0.5802
O  0.9633  0.5860  0.6458
O  0.9639  0.5847  0.8558
O  0.9693  0.5866  0.3127
O  0.9852  0.5834  0.5212
O  0.9894  0.5868  0.1870
O  0.9896  0.5859  0.9810

no.,formation energy (eV/atom)
1,-2.241
2,-2.255
3,-2.257
4,-2.257
5,-2.250
6,-2.243
7,-2.242
8,-2.235